# 1
29
Lattice="5.188 -3.025 0.000 5.188 3.025 0.000 -3.394 0.000 9.722" Properties=species:S:1:pos:R:3 comment="Fe7Ni6O16 (PBE with a Hubbard U, optimized geometry)" energy_ev_per_cell=-171.89 pbc="T T T"
Fe 0.000 0.000 0.000
Fe 4.292 1.478 2.447
Fe 2.689 1.478 7.275
Fe 0.099 0.000 9.008
Fe 6.882 0.000 0.714
Fe 4.292 -1.478 2.447
Fe 2.689 -1.478 7.275
Ni -1.697 0.000 4.861
Ni 0.897 1.512 4.861
Ni 1.767 0.000 2.408
Ni 0.897 -1.512 4.861
Ni 3.491 0.000 4.861
Ni 5.214 0.000 7.314
O -1.726 0.000 8.382
O 1.005 1.565 8.416
O 0.004 0.000 3.637
O 2.677 1.460 3.673
O 5.977 1.565 1.306
O 4.304 1.460 6.049
O 3.502 0.000 1.276
O 1.838 0.000 6.081
O 5.143 0.000 3.641
O 3.480 0.000 8.446
O 2.677 -1.460 3.673
O 1.005 -1.565 8.416
O 4.304 -1.460 6.049
O 6.978 0.000 6.085
O 5.977 -1.565 1.306
O 8.707 0.000 1.340


# 2
57
Lattice="5.926 0.000 0.000 2.938 5.360 0.000 2.963 -1.366 19.511" Properties=species:S:1:pos:R:3 comment="Fe14Ni11O32 (PBE with a Hubbard U, optimized geometry)" energy_ev_per_cell=-319.61 pbc="T T T"
Fe 0.000 0.000 0.000
Fe 4.479 1.388 19.459
Fe 3.920 0.471 16.445
Fe 3.491 2.407 8.021
Fe 4.470 3.675 4.762
Fe 3.050 1.007 4.732
Fe 4.958 0.785 12.967
Fe 2.456 0.040 1.754
Fe 4.470 -0.610 9.695
Fe 5.168 1.933 2.412
Fe 9.396 4.092 17.680
Fe 6.984 3.401 6.252
Fe 8.843 3.192 14.760
Fe 8.369 1.721 11.478
Ni 5.179 3.916 12.172
Ni 5.902 3.178 14.709
Ni 6.652 2.245 17.059
Ni 3.737 0.187 7.242
Ni 7.396 1.374 19.454
Ni 5.952 2.077 9.674
Ni 8.147 3.962 12.137
Ni 7.417 0.468 14.634
Ni 5.995 0.980 4.681
Ni 6.706 0.260 7.232
Ni 7.438 -0.599 9.695
O 1.049 1.010 1.162
O 4.054 2.980 10.926
O 2.644 3.641 0.897
O 2.657 0.009 10.816
O 4.756 2.519 13.553
O 3.390 -0.458 13.351
O 1.909 0.032 3.681
O 3.425 2.629 3.783
O 4.009 1.982 6.126
O 7.045 3.972 15.812
O 5.637 1.392 15.759
O 5.610 4.689 5.949
O 7.677 3.163 18.302
O 6.257 0.548 18.272
O 4.816 1.176 8.427
O 6.343 3.744 8.239
O 5.589 0.378 11.027
O 7.085 2.941 10.955
O 5.576 3.544 1.167
O 4.192 0.986 1.163
O 4.771 0.389 3.705
O 6.085 2.668 3.748
O 6.288 -0.509 13.370
O 7.806 2.252 13.365
O 8.500 1.427 15.751
O 9.979 4.086 15.750
O 8.541 4.653 5.990
O 7.156 1.614 5.802
O 9.234 4.153 8.562
O 9.237 0.451 18.381
O 10.746 3.133 18.299
O 7.827 1.134 8.458


# 3
43
Lattice="5.142 -2.976 0.000 5.142 2.976 0.000 -0.094 0.000 15.136" Properties=species:S:1:pos:R:3 comment="Fe11Ni8O24 (PBE with a Hubbard U, optimized geometry)" energy_ev_per_cell=-256.27 pbc="T T T"
Fe 0.000 0.000 0.000
Fe -0.050 0.000 9.848
Fe 4.172 1.438 12.625
Fe 3.379 0.000 4.529
Fe 3.442 0.000 0.622
Fe 6.019 1.438 2.511
Fe 4.172 -1.438 12.625
Fe 6.749 0.000 14.514
Fe 6.812 0.000 10.607
Fe 6.019 -1.438 2.511
Fe 10.241 0.000 5.288
Ni -0.047 0.000 7.568
Ni 2.524 1.488 7.568
Ni 1.670 0.000 12.653
Ni 3.355 0.000 10.067
Ni 2.524 -1.488 7.568
Ni 5.096 0.000 7.568
Ni 6.836 0.000 5.068
Ni 8.521 0.000 2.482
O -0.013 0.000 3.445
O 2.571 1.425 11.381
O 1.622 0.000 1.241
O 4.354 1.567 1.227
O 1.624 0.000 8.816
O 4.258 1.518 8.825
O 5.838 1.567 13.908
O 5.934 1.518 6.311
O 3.381 0.000 6.431
O 3.367 0.000 13.809
O 5.012 0.000 11.411
O 2.571 -1.425 11.381
O 7.620 1.425 3.755
O 5.179 0.000 3.725
O 6.824 0.000 1.327
O 6.810 0.000 8.705
O 4.258 -1.518 8.825
O 4.354 -1.567 1.227
O 5.934 -1.518 6.311
O 8.567 0.000 6.319
O 5.838 -1.567 13.908
O 8.569 0.000 13.895
O 7.620 -1.425 3.755
O 10.204 0.000 11.691


# 4
56
Lattice="5.181 -3.012 0.000 5.181 3.012 0.000 -3.600 0.000 19.598" Properties=species:S:1:pos:R:3 comment="Fe2NiO4 (PBE with a Hubbard U, optimized geometry)" energy_ev_per_cell=-345.91 pbc="T T T"
Fe 0.000 0.000 0.000
Fe 0.768 1.521 11.589
Fe 2.551 1.506 1.844
Fe -0.081 0.000 3.673
Fe -0.082 0.000 9.155
Fe -0.112 0.000 14.654
Fe 4.264 1.517 6.752
Fe 2.431 1.493 16.549
Fe -0.203 0.000 18.382
Fe 3.398 0.000 9.775
Fe 2.551 -1.506 1.844
Fe 0.768 -1.521 11.589
Fe 6.878 0.000 4.916
Fe 2.431 -1.493 16.549
Fe 4.264 -1.517 6.752
Fe 6.779 0.000 14.010
Ni -1.856 0.000 11.605
Ni 1.646 0.000 6.756
Ni 3.391 0.000 4.313
Ni 5.140 0.000 1.840
Ni 3.313 0.000 13.499
Ni 3.293 0.000 18.982
Ni 5.011 0.000 16.536
Ni 6.806 0.000 8.556
O -1.971 0.000 15.331
O 0.778 1.591 15.302
O -0.092 0.000 5.601
O 2.585 1.458 5.579
O 2.375 1.601 12.809
O 4.165 1.475 3.047
O -0.087 0.000 12.733
O 1.753 0.000 2.984
O 1.522 0.000 10.395
O 4.298 1.611 10.367
O 3.463 0.000 0.749
O 6.121 1.476 0.610
O 5.842 1.640 7.980
O 4.090 1.456 17.726
O 3.411 0.000 7.859
O 1.620 0.000 17.709
O 3.239 0.000 15.503
O 5.061 0.000 5.602
O 2.585 -1.458 5.579
O 0.778 -1.591 15.302
O 4.165 -1.475 3.047
O 6.819 0.000 2.935
O 2.375 -1.601 12.809
O 5.175 0.000 12.750
O 8.525 0.000 0.676
O 6.748 0.000 10.521
O 6.121 -1.476 0.610
O 4.298 -1.611 10.367
O 4.090 -1.456 17.726
O 6.759 0.000 17.633
O 5.842 -1.640 7.980
O 8.748 0.000 7.930


# 5
14
Lattice="-2.982 2.991 4.218 2.982 -2.991 4.218 2.982 2.991 -4.218" Properties=species:S:1:pos:R:3 comment="Fe2NiO4 (PBE with a Hubbard U, optimized geometry)" energy_ev_per_cell=-87.70 pbc="T T T"
Fe 0.000 0.000 0.000
Fe 2.982 1.496 1.088
Fe 0.000 2.991 0.000
Fe 0.000 1.496 3.131
Ni 1.491 1.496 -2.109
Ni 1.491 -1.496 2.109
O 2.982 2.941 -2.196
O 1.403 1.496 -0.021
O 1.580 -1.496 4.198
O 2.982 -0.051 2.196
O 0.000 3.042 2.022
O 1.403 4.487 0.021
O 1.580 1.496 4.239
O 0.000 0.051 6.415


# 6
70
Lattice="5.255 -3.026 0.000 5.255 3.026 0.000 -3.539 0.000 24.689" Properties=species:S:1:pos:R:3 comment="Fe13Ni2O20 (PBE with a Hubbard U, optimized geometry)" energy_ev_per_cell=-453.81 pbc="T T T"
Fe 0.000 0.000 0.000
Fe -1.832 0.000 17.873
Fe 0.816 1.523 17.882
Fe -0.061 0.000 11.050
Fe 2.573 1.501 12.968
Fe -0.075 0.000 14.805
Fe 1.668 0.000 7.972
Fe 4.326 1.522 7.987
Fe -0.041 0.000 20.369
Fe 3.434 0.000 1.277
Fe 6.081 1.510 3.104
Fe 3.467 0.000 4.936
Fe 3.462 0.000 10.461
Fe 4.304 1.507 22.893
Fe 3.458 0.000 16.085
Fe 0.816 -1.523 17.882
Fe 3.444 0.000 19.790
Fe 2.573 -1.501 12.968
Fe 5.193 0.000 12.968
Fe 6.963 0.000 6.167
Fe 4.326 -1.522 7.987
Fe 6.953 0.000 9.867
Fe 6.081 -1.510 3.104
Fe 8.723 0.000 3.084
Fe 6.936 0.000 21.005
Fe 4.304 -1.507 22.893
Ni -0.063 0.000 5.561
Ni 1.679 0.000 22.867
Ni 6.955 0.000 0.634
Ni 6.941 0.000 15.442
O 2.496 1.555 1.875
O -1.903 0.000 14.120
O 0.861 1.582 14.125
O 0.023 0.000 1.917
O 0.714 1.439 21.637
O 0.028 0.000 9.098
O -1.699 0.000 21.670
O 2.590 1.412 9.293
O 2.585 1.598 16.702
O 1.622 0.000 4.228
O -0.133 0.000 16.708
O 4.418 1.544 4.264
O -0.107 0.000 23.981
O 2.622 1.458 24.012
O 4.240 1.374 11.837
O 1.878 0.000 11.827
O 4.314 1.624 19.163
O 6.098 1.591 6.814
O 1.609 0.000 19.197
O 3.398 0.000 6.849
O 2.496 -1.555 1.875
O 3.446 0.000 14.117
O 5.288 0.000 1.899
O 0.861 -1.582 14.125
O 0.714 -1.439 21.637
O 2.590 -1.412 9.293
O 5.130 0.000 9.345
O 3.473 0.000 21.741
O 6.893 0.000 4.199
O 5.259 0.000 16.672
O 4.418 -1.544 4.264
O 2.585 -1.598 16.702
O 4.240 -1.374 11.837
O 5.116 0.000 24.010
O 2.622 -1.458 24.012
O 6.957 0.000 11.874
O 8.753 0.000 6.755
O 7.012 0.000 19.113
O 6.098 -1.591 6.814
O 4.314 -1.624 19.163


# 7
70
Lattice="5.983 0.000 0.000 2.976 5.195 0.000 0.054 3.360 24.400" Properties=species:S:1:pos:R:3 comment="Fe2NiO4 (PBE with a Hubbard U, optimized geometry)" energy_ev_per_cell=-432.16 pbc="T T T"
Fe 0.000 0.000 0.000
Fe 6.011 1.684 12.188
Fe 2.970 5.187 9.171
Fe 1.486 0.851 2.454
Fe 2.987 3.474 2.452
Fe 3.012 5.142 14.636
Fe 3.028 5.065 20.098
Fe 3.039 5.126 23.780
Fe 3.026 3.393 17.078
Fe 3.016 1.640 10.374
Fe 5.999 6.921 14.044
Fe 4.465 2.574 7.273
Fe 5.972 5.192 7.281
Fe 6.020 6.856 19.511
Fe 4.508 0.849 2.452
Fe 5.975 3.455 4.250
Fe 6.024 5.131 21.972
Fe 5.991 3.406 9.771
Fe 6.010 3.358 15.209
Fe 6.025 3.424 18.948
Ni 3.007 5.166 5.533
Ni 1.520 2.567 7.294
Ni 4.526 7.697 21.969
Ni 2.996 1.713 4.907
Ni 4.514 5.992 17.083
Ni 4.513 4.275 12.187
Ni 5.972 3.472 0.566
Ni 7.508 7.697 21.969
Ni 7.505 5.992 17.082
Ni 7.491 4.274 12.184
O 2.993 5.174 3.531
O 1.586 4.305 15.840
O 3.016 6.753 15.859
O 1.560 2.550 3.574
O 1.364 2.550 10.993
O 1.450 4.222 23.198
O 3.030 6.936 23.230
O 3.004 5.230 11.083
O 3.023 5.020 18.172
O 4.603 7.701 18.293
O 1.641 0.867 6.159
O 3.050 3.316 6.146
O 4.369 4.406 1.281
O 4.402 6.015 13.376
O 3.015 3.520 13.408
O 2.993 1.738 1.345
O 3.039 1.677 8.479
O 3.037 3.273 20.736
O 4.605 5.988 20.745
O 4.596 4.227 8.547
O 4.426 4.287 15.861
O 4.419 2.543 3.568
O 5.979 5.259 3.569
O 6.005 6.958 15.979
O 6.020 6.800 23.034
O 5.997 5.005 10.936
O 4.629 4.219 23.201
O 4.645 2.557 10.995
O 4.400 0.905 6.211
O 6.012 5.232 18.310
O 7.442 7.684 18.311
O 5.971 3.457 6.152
O 6.006 3.328 13.280
O 7.577 4.406 1.283
O 5.984 1.580 1.303
O 7.616 6.028 13.368
O 5.968 1.842 8.555
O 7.355 4.245 8.567
O 7.434 5.989 20.746
O 6.030 3.421 20.864


# 8
57
Lattice="5.926 0.000 0.000 2.938 5.360 0.000 2.963 -1.366 19.511" Properties=species:S:1:pos:R:3 comment="Fe14Ni11O32 (PBE with a Hubbard U, optimized geometry)" energy_ev_per_cell=-334.54 pbc="T T T"
Fe 0.000 0.000 0.000
Fe 7.363 2.606 0.052
Fe 4.407 3.391 13.019
Fe 4.427 2.647 1.806
Fe 7.366 4.327 11.530
Fe 5.899 0.439 14.811
Fe 4.416 0.921 4.813
Fe 5.924 3.613 4.783
Fe 4.427 -0.347 8.072
Fe 7.340 1.338 17.732
Fe 7.338 4.539 2.464
Fe 10.352 3.077 16.497
Fe 7.383 0.647 6.303
Fe 8.852 1.996 9.746
Ni 2.928 3.586 4.733
Ni 4.407 -0.508 17.111
Ni 4.407 1.209 12.188
Ni 4.413 2.867 7.284
Ni 7.373 3.074 14.685
Ni 8.816 3.980 19.505
Ni 5.894 2.007 9.746
Ni 7.375 1.162 12.223
Ni 7.374 2.793 7.294
Ni 8.869 0.424 14.761
Ni 7.390 -0.677 9.726
O 2.839 3.616 1.214
O 4.449 2.984 11.078
O 4.421 1.218 15.863
O 5.935 3.998 15.811
O 2.933 1.899 6.041
O 1.416 0.887 0.949
O 2.986 0.187 11.007
O 4.429 4.220 5.854
O 4.408 1.400 8.613
O 5.809 0.409 18.353
O 7.318 3.154 18.323
O 5.860 2.097 13.422
O 4.439 -0.501 13.416
O 5.907 3.740 8.510
O 4.465 2.638 3.732
O 3.074 -0.125 3.835
O 8.795 4.033 15.803
O 7.336 1.332 15.801
O 7.308 4.588 6.178
O 5.872 0.226 10.978
O 5.916 1.935 6.001
O 4.430 0.790 1.218
O 5.982 3.592 1.215
O 7.380 2.616 10.868
O 7.371 -0.234 13.605
O 7.333 2.995 3.757
O 5.723 -0.085 3.800
O 8.813 3.782 8.479
O 10.332 3.057 18.433
O 8.882 2.149 13.402
O 8.878 0.380 18.351
O 7.344 0.991 8.290